Computed, not measured: an optimized crystal structure of HfPOs at the PBE level of DFT. Values from VASP.

Geometry as Quantum ESPRESSO input:
```
&SYSTEM
  ibrav = 0, nat = 9, ntyp = 3
/
ATOMIC_SPECIES
Hf 178.49 Hf.upf
P 30.97 P.upf
Os 190.23 Os.upf
ATOMIC_POSITIONS angstrom
Hf 1.0876 3.0992 0.2418
Hf 3.3100 1.7981 -1.8950
Hf -0.9268 2.9102 2.9073
P 0.7899 2.6850 -2.4359
P -1.6286 3.3198 0.3054
P 1.4365 0.6009 1.1282
Os -0.6306 4.5149 -1.6018
Os 0.7960 0.5087 -1.2845
Os -1.0041 0.9812 0.7560
CELL_PARAMETERS angstrom
3.2083 2.0502 -5.1772
-4.0470 3.9546 3.0467
2.8730 1.2018 2.2564
```

Calculated values
- Symmetry: P-62m, No. 189
- Formation energy: -0.883 eV/atom

Computed, not measured: an optimized crystal structure of Hf2ReOs at the PBE level of DFT. Values from VASP.

Geometry as Quantum ESPRESSO input:
```
&SYSTEM
  ibrav = 0, nat = 4, ntyp = 3
/
ATOMIC_SPECIES
Hf 178.49 Hf.upf
Re 186.21 Re.upf
Os 190.23 Os.upf
ATOMIC_POSITIONS angstrom
Hf -2.7610 0.2218 0.5631
Hf -8.2830 0.6655 1.6894
Re 0.0000 0.0000 0.0000
Os -5.5220 0.4437 1.1263
CELL_PARAMETERS angstrom
-3.5487 -1.8941 2.2637
-3.2670 2.6934 1.8380
-4.2283 0.0881 -1.8490
```

Calculated values
- Symmetry: Fm-3m, No. 225
- Formation energy: -0.524 eV/atom